No. 1
Below is Mn2P4O13 after structural relaxation, with properties calculated at the PBE with a Hubbard U level.

crystal system: monoclinic
magnetization: 0.4210 μB/atom
electronic total energy: -0.2694 hartree per atom
DFT formation energy: -2486 meV/atom
E above lowest polymorph: 0 meV/atom
space group: P2_1/c (14)

Geometry as extended XYZ:
```
76
Lattice="-2.496 -2.270 8.346 7.680 -3.025 1.473 7.467 9.967 4.944" Properties=species:S:1:pos:R:3 pbc="T T T"
Mn 12.801 4.275 5.001
Mn 7.825 -1.839 6.684
Mn 7.290 3.405 12.804
Mn 7.853 5.120 8.584
Mn 4.798 -0.449 6.179
Mn 5.361 1.266 1.959
Mn 4.826 6.510 8.079
Mn -0.150 0.397 9.763
P 11.645 4.936 12.194
P 11.167 5.570 7.532
P 9.113 2.644 10.263
P 7.956 -0.007 9.573
P 8.909 6.084 11.588
P 7.562 0.703 4.629
P 5.141 -2.557 8.588
P 7.482 3.577 5.624
P 5.169 1.095 9.140
P 7.510 7.228 6.175
P 5.089 3.968 10.134
P 3.742 -1.413 3.176
P 4.696 4.678 5.191
P 3.538 2.027 4.501
P 1.484 -0.898 7.231
P 1.007 -0.264 2.570
O 12.668 4.659 11.114
O 11.057 3.786 12.952
O 12.265 5.061 8.459
O 10.521 3.111 10.110
O 8.306 -0.897 10.746
O 9.018 1.178 9.577
O 10.521 5.903 11.545
O 11.352 5.105 6.061
O 8.665 2.421 11.744
O 8.009 -0.574 8.187
O 11.421 7.169 7.386
O 9.040 0.539 4.289
O 6.188 -2.417 9.640
O 9.784 5.303 8.011
O 8.361 5.035 12.505
O 8.072 3.493 9.546
O 4.913 -4.143 8.347
O 6.536 0.691 9.915
O 7.027 -0.416 5.565
O 5.554 -1.995 7.188
O 8.678 4.047 4.835
O 7.478 1.996 5.613
O 8.369 6.210 10.186
O 8.878 6.676 5.798
O 7.328 3.987 7.056
O 6.675 0.888 3.449
O 5.976 3.783 11.314
O 5.323 0.684 7.707
O 3.773 -2.005 8.966
O 4.282 -1.539 4.578
O 5.173 2.676 9.151
O 3.973 0.624 9.929
O 7.097 6.666 7.575
O 5.624 5.088 9.198
O 6.115 3.980 4.849
O 7.738 8.814 6.416
O 4.579 1.178 5.217
O 4.290 -0.364 2.259
O 2.867 -0.632 6.752
O 6.463 7.088 5.123
O 3.612 4.132 10.474
O 1.231 -2.498 7.377
O 4.642 5.245 6.576
O 3.986 2.250 3.019
O 1.299 -0.433 8.703
O 2.130 -1.232 3.219
O 3.633 3.493 5.186
O 4.345 5.568 4.018
O 2.130 1.560 4.654
O 0.386 -0.389 6.304
O 1.595 0.885 1.811
O -0.017 0.012 3.649
```


No. 2
Below is Mn6P7O24 after structural relaxation, with properties calculated at the PBE with a Hubbard U level.

crystal system: monoclinic
magnetization: 0.7838 μB/atom
electronic total energy: -0.2780 hartree per atom
DFT formation energy: -2562 meV/atom
space group: P2_1/m (11)

Geometry as extended XYZ:
```
74
Lattice="27.075 0.000 0.000 0.000 5.394 0.000 0.000 1.958 6.262" Properties=species:S:1:pos:R:3 pbc="T T T"
Mn 2.724 2.927 5.716
Mn 18.568 2.060 4.474
Mn 14.783 1.625 1.971
Mn 5.031 5.291 1.789
Mn 8.507 5.291 1.789
Mn 10.813 2.927 5.716
Mn 22.044 2.060 4.474
Mn 12.291 5.726 4.291
Mn 1.246 5.726 4.291
Mn 24.351 4.425 0.547
Mn 16.261 4.425 0.547
Mn 25.829 1.625 1.971
P 22.506 1.707 1.192
P 0.656 4.225 1.281
P 20.306 4.688 5.671
P 4.569 5.645 5.070
P 10.559 2.486 2.396
P 8.968 5.645 5.070
P 12.881 4.225 1.281
P 18.107 1.707 1.192
P 2.979 2.486 2.396
P 6.769 2.663 0.592
P 26.419 3.126 4.982
P 16.516 4.865 3.866
P 24.096 4.865 3.866
P 14.193 3.126 4.982
O 5.507 4.579 5.886
O 21.568 2.773 0.376
O 17.990 0.456 0.284
O 6.769 1.343 1.336
O 1.290 6.668 6.231
O 9.527 3.570 2.413
O 12.841 3.838 5.168
O 20.306 6.009 4.927
O 5.231 5.942 3.742
O 4.010 3.570 2.413
O 8.031 4.579 5.886
O 26.378 3.513 1.095
O 23.829 2.493 1.293
O 8.306 5.942 3.742
O 4.452 6.895 5.978
O 22.623 0.456 0.284
O 12.951 5.356 2.316
O 18.769 1.409 2.521
O 10.216 1.294 1.470
O 20.306 3.391 4.877
O 21.843 1.409 2.521
O 16.783 2.493 1.293
O 2.587 1.971 3.800
O 23.754 6.057 4.792
O 14.827 0.683 0.032
O 10.950 1.971 3.800
O 0.697 3.838 5.168
O 1.567 3.022 1.822
O 26.488 1.996 3.947
O 23.065 3.781 3.850
O 25.785 0.683 0.032
O 19.044 2.773 0.376
O 14.124 1.996 3.947
O 10.292 4.859 4.970
O 11.971 3.022 1.822
O 16.125 5.381 2.463
O 6.769 3.960 1.385
O 12.248 6.668 6.231
O 3.245 4.859 4.970
O 17.548 3.781 3.850
O 16.858 6.057 4.792
O 3.321 1.294 1.470
O 15.104 4.330 4.441
O 24.487 5.381 2.463
O 0.587 5.356 2.316
O 14.234 3.513 1.095
O 9.085 6.895 5.978
O 25.508 4.330 4.441
```


No. 3
Below is Mn3P2O14 after structural relaxation, with properties calculated at the PBE with a Hubbard U level.

crystal system: monoclinic
magnetization: 0.4737 μB/atom
electronic total energy: -0.2351 hartree per atom
DFT formation energy: -1504 meV/atom
space group: P2_1 (4)

Geometry as extended XYZ:
```
38
Lattice="-7.222 -15.993 7.614 4.409 -2.570 -1.215 3.439 0.347 3.990" Properties=species:S:1:pos:R:3 pbc="T T T"
Mn -0.641 -8.401 5.832
Mn 4.862 -1.857 0.769
Mn -0.161 -9.876 3.235
Mn 4.367 -0.413 3.380
Mn -1.263 -13.269 7.270
Mn 1.801 -5.144 3.213
P 0.693 -11.214 5.918
P 2.106 -2.191 2.181
P 2.417 -8.166 4.546
P -4.012 -14.970 8.186
O -0.045 -10.057 6.634
O 3.149 -2.673 1.144
O -1.210 -6.721 5.047
O -0.658 -17.017 7.972
O 2.256 -10.878 5.996
O 1.177 -1.122 1.434
O 0.856 -8.565 4.473
O -3.126 -16.066 8.970
O 0.320 -11.351 4.434
O 2.732 -1.494 3.398
O 2.781 -8.062 6.037
O -4.655 -15.691 6.989
O 0.463 -12.529 6.690
O 1.208 -3.374 2.598
O -3.123 -13.813 7.750
O 2.643 -6.855 3.806
O -1.510 -9.380 4.469
O 5.274 -1.888 2.612
O 0.221 -7.431 7.210
O -2.779 -17.837 6.537
O -2.314 -12.261 5.573
O 3.698 -4.277 4.018
O -0.576 -14.135 8.435
O 0.412 -5.831 2.787
O -1.808 -11.691 7.621
O 3.081 -5.094 2.087
O -1.427 -14.109 5.750
O 1.844 -4.570 4.860
```


No. 4
Below is Mn7P2O16 after structural relaxation, with properties calculated at the PBE with a Hubbard U level.

crystal system: monoclinic
magnetization: 1.0800 μB/atom
electronic total energy: -0.2674 hartree per atom
DFT formation energy: -2018 meV/atom
space group: P2_1/c (14)

Geometry as extended XYZ:
```
50
Lattice="-0.321 -11.120 -1.631 5.201 -0.054 -0.654 1.260 -1.474 10.143" Properties=species:S:1:pos:R:3 pbc="T T T"
Mn 2.600 -0.027 -0.327
Mn 0.630 -0.737 5.071
Mn 6.095 -1.810 7.991
Mn 2.932 -11.599 4.654
Mn 0.045 -10.839 -0.133
Mn 3.208 -1.049 3.204
Mn 5.686 -3.424 5.368
Mn 3.218 -9.984 7.293
Mn 0.454 -9.224 2.490
Mn 2.921 -2.665 0.565
Mn 3.469 -5.945 5.686
Mn 1.044 -7.418 7.527
Mn 2.670 -6.704 2.172
Mn 5.096 -5.231 0.331
P 2.076 -4.545 8.157
P 4.254 -8.836 4.828
P 4.064 -8.103 -0.299
P 1.885 -3.813 3.030
O 2.672 -4.463 6.712
O 5.188 -8.934 6.080
O 3.468 -8.186 1.146
O 0.952 -3.714 1.778
O 2.900 -3.695 9.162
O 4.787 -9.700 3.652
O 3.239 -8.954 -1.304
O 1.353 -2.948 4.206
O 1.885 -5.988 8.660
O 3.974 -7.389 4.384
O 4.255 -6.661 -0.802
O 2.165 -5.260 3.474
O 5.894 -3.821 7.330
O 2.942 -9.586 5.340
O 0.246 -8.828 0.528
O 3.198 -3.062 2.518
O 4.614 -4.767 4.809
O 2.346 -8.621 8.097
O 1.525 -7.882 3.049
O 3.794 -4.028 -0.239
O 1.856 -6.874 6.008
O 4.621 -6.509 6.958
O 4.283 -5.775 1.850
O 1.518 -6.139 0.900
O 1.439 -1.517 6.673
O 3.942 -11.855 6.431
O 4.701 -11.132 1.185
O 2.197 -0.794 1.427
O 4.251 -0.949 -0.248
O 1.908 -10.970 2.953
O 1.889 -11.700 8.106
O 4.232 -1.679 4.905
```


No. 5
Below is MnPO4 after structural relaxation, with properties calculated at the PBE with a Hubbard U level.

piezoelectric modulus e_max: 0.3 C/m2
crystal system: orthorhombic
magnetization: 0.6667 μB/atom
electronic total energy: -0.2699 hartree per atom
DFT formation energy: -2353 meV/atom
space group: Pna2_1 (33)

Geometry as extended XYZ:
```
24
Lattice="-2.290 -2.928 -3.509 6.912 -2.329 -2.569 -0.166 -7.705 6.537" Properties=species:S:1:pos:R:3 pbc="T T T"
Mn 3.870 -4.961 -3.412
Mn 1.526 -3.881 0.940
Mn 3.443 -9.253 -0.671
Mn 1.099 -8.173 3.681
P 2.847 -6.776 1.254
P 3.348 -2.389 -1.374
P -1.307 -5.203 0.290
P -1.809 -9.590 2.918
O 2.723 -5.341 0.680
O 1.797 -6.944 2.368
O 0.170 -7.604 5.235
O 5.099 -8.754 -1.472
O 4.282 -7.024 1.755
O 2.724 -9.086 4.078
O 2.121 -2.783 -0.532
O 4.026 -3.605 -2.033
O -0.278 -4.430 1.153
O 2.085 -4.616 -3.958
O -0.613 -5.672 -1.003
O 4.406 -6.606 -2.557
O 2.534 -7.790 0.125
O 4.082 -10.766 0.342
O 5.098 -5.009 -4.869
O -0.357 -9.092 2.785
```


No. 6
Below is MnP3O9 after structural relaxation, with properties calculated at the PBE with a Hubbard U level.

piezoelectric modulus e_max: 0.4 C/m2
crystal system: monoclinic
electronic total energy: -0.2676 hartree per atom
DFT formation energy: -2505 meV/atom
E above lowest polymorph: 9 meV/atom
space group: Cc (9)

Geometry as extended XYZ:
```
26
Lattice="3.303 5.755 0.000 -0.003 0.001 9.786 6.673 -0.005 0.294" Properties=species:S:1:pos:R:3 pbc="T T T"
Mn 3.279 1.835 0.099
Mn 3.371 1.997 4.992
P 2.814 4.153 7.316
P 1.138 1.229 2.425
P 3.789 4.077 2.504
P 1.692 0.427 7.395
P 5.518 1.301 7.600
P 4.964 0.331 2.708
O 4.696 5.385 2.424
O 4.323 4.738 7.315
O 2.544 3.407 8.570
O 1.646 1.839 3.679
O 2.573 3.446 5.994
O 1.627 1.793 1.102
O 4.003 3.304 1.234
O 2.467 0.631 6.126
O 4.131 3.380 3.796
O 2.466 0.484 8.688
O 8.580 5.463 7.537
O 6.218 1.343 2.646
O 8.961 4.643 2.859
O 7.115 1.429 7.751
O 5.074 1.942 6.334
O 4.186 0.393 1.442
O 4.959 1.822 8.909
O 4.232 0.551 4.017
```


No. 7
Below is MnP2O6 after structural relaxation, with properties calculated at the PBE with a Hubbard U level.

crystal system: monoclinic
electronic total energy: -0.2746 hartree per atom
DFT formation energy: -2596 meV/atom
space group: C2/c (15)

Geometry as extended XYZ:
```
36
Lattice="-3.798 -4.994 4.075 4.648 -3.562 4.655 -1.147 2.759 9.883" Properties=species:S:1:pos:R:3 pbc="T T T"
Mn 1.751 -0.401 7.269
Mn -1.899 -2.497 2.038
Mn -0.794 -2.269 11.753
Mn 0.498 -3.527 6.861
P -0.059 -4.983 13.906
P -0.711 0.583 9.656
P -0.237 -0.813 4.708
P 0.414 -6.380 8.957
P -2.383 -3.270 8.850
P -1.847 -4.670 4.512
P 2.087 -2.526 9.763
P 1.551 -1.126 14.101
O 2.841 -1.222 10.355
O 2.764 -2.097 13.644
O -3.137 -4.574 8.258
O -3.060 -3.699 4.969
O 1.199 -5.674 13.169
O 0.142 1.632 10.537
O -1.496 -0.122 5.444
O -0.438 -7.428 8.076
O 0.357 -4.193 15.088
O 0.095 0.000 8.557
O -0.653 -1.603 3.525
O -0.391 -5.797 10.056
O -0.814 -4.275 12.793
O -1.332 -0.359 10.673
O 0.518 -1.522 5.820
O 1.036 -5.438 7.940
O -2.235 -3.416 10.358
O -2.703 -1.691 12.917
O 1.939 -2.381 8.255
O 2.407 -4.105 5.696
O 0.883 -2.786 10.586
O 0.449 -1.258 13.120
O -1.179 -3.010 8.027
O -0.746 -4.539 5.493
```


No. 8
Below is MnP4O12 after structural relaxation, with properties calculated at the PBE with a Hubbard U level.

crystal system: monoclinic
magnetization: 0.1765 μB/atom
electronic total energy: -0.2604 hartree per atom
DFT formation energy: -2364 meV/atom
E above lowest polymorph: 42 meV/atom
space group: P2_1/c (14)

Geometry as extended XYZ:
```
34
Lattice="-4.198 -6.926 -3.375 4.007 -4.364 3.971 -2.240 -2.432 7.778" Properties=species:S:1:pos:R:3 pbc="T T T"
Mn 0.000 0.000 0.000
Mn -3.219 -4.679 2.201
P -2.156 -7.756 5.576
P 1.377 -5.772 5.353
P 0.108 -4.701 7.896
P -2.348 -6.173 -0.595
P -0.083 -7.550 8.968
P -2.540 -9.021 0.478
P -3.809 -7.951 3.020
P -0.276 -5.966 2.798
O -3.017 -8.303 4.331
O -1.939 -6.307 5.575
O -1.242 -4.028 7.662
O 0.722 -4.790 6.397
O -3.107 -8.225 6.803
O -1.001 -8.752 5.652
O 2.809 -5.304 5.157
O -3.113 -11.107 5.481
O -3.202 -6.331 -1.820
O -0.296 -6.243 8.123
O 1.269 -7.199 5.805
O -2.843 -5.095 0.355
O 0.412 -8.627 8.019
O -3.701 -6.523 2.568
O -2.135 -7.480 0.251
O 0.770 -7.391 10.194
O 0.681 -2.615 2.893
O -5.241 -8.418 3.217
O -1.430 -4.970 2.722
O 0.676 -5.497 1.571
O -3.153 -8.932 1.977
O -1.190 -9.694 0.711
O -0.492 -7.415 2.799
O 0.586 -5.419 4.042
```